Material: LaHfMg14O16
Method: DFT, PBE
State: relaxed

Unit cell a=8.8924 b=8.8924 c=4.4192 alpha=90.00 beta=90.00 gamma=90.00
With the nearest neighbours (Å) after each atom.
Fractional coordinates of all 32 atoms:
La (0.0000, 0.0000, 0.0000)  6 O 2.21-2.39
Hf (0.5000, 0.5000, 0.0000)  6 O 2.21-2.31
Mg (0.0000, 0.5000, 0.0000)  6 O 2.06-2.21
Mg (0.5000, 0.0000, 0.0000)  6 O 2.06-2.21
Mg (0.0000, 0.2679, 0.5000)  5 O 2.06-2.21
Mg (0.0000, 0.7321, 0.5000)  5 O 2.06-2.21
Mg (0.5000, 0.2447, 0.5000)  6 O 2.18-2.27
Mg (0.5000, 0.7553, 0.5000)  6 O 2.18-2.27
Mg (0.2679, 0.0000, 0.5000)  5 O 2.06-2.21
Mg (0.2447, 0.5000, 0.5000)  6 O 2.18-2.27
Mg (0.7321, 0.0000, 0.5000)  5 O 2.06-2.21
Mg (0.7553, 0.5000, 0.5000)  6 O 2.18-2.27
Mg (0.2577, 0.2577, 0.0000)  6 O 2.16-2.29
Mg (0.2577, 0.7423, 0.0000)  6 O 2.16-2.29
Mg (0.7423, 0.2577, 0.0000)  6 O 2.16-2.29
Mg (0.7423, 0.7423, 0.0000)  6 O 2.16-2.29
O (0.2682, 0.0000, 0.0000)  5 Mg 2.06-2.29
O (0.2405, 0.5000, 0.0000)  5 Mg 2.14-2.21, 1 Hf 2.31
O (0.7318, 0.0000, 0.0000)  5 Mg 2.06-2.29
O (0.7595, 0.5000, 0.0000)  5 Mg 2.14-2.21, 1 Hf 2.31
O (0.2480, 0.2480, 0.5000)  6 Mg 2.21-2.24
O (0.2480, 0.7520, 0.5000)  6 Mg 2.21-2.24
O (0.7520, 0.2480, 0.5000)  6 Mg 2.21-2.24
O (0.7520, 0.7520, 0.5000)  6 Mg 2.21-2.24
O (0.0000, 0.0000, 0.5000)  2 La 2.21, 4 Mg 2.38
O (0.0000, 0.5000, 0.5000)  6 Mg 2.06-2.21
O (0.5000, 0.0000, 0.5000)  6 Mg 2.06-2.21
O (0.5000, 0.5000, 0.5000)  2 Hf 2.21, 4 Mg 2.27
O (0.0000, 0.2682, 0.0000)  5 Mg 2.06-2.29
O (0.0000, 0.7318, 0.0000)  5 Mg 2.06-2.29
O (0.5000, 0.2405, 0.0000)  5 Mg 2.14-2.21, 1 Hf 2.31
O (0.5000, 0.7595, 0.0000)  5 Mg 2.14-2.21, 1 Hf 2.31

Computed properties:
The spin magnetization comes out at 1.88 μB per cell. Its space group is P4/mmm (123). The calculation puts the mass density at 4.3 g/cm³. Its total energy is -6.11 eV/atom. The calculation puts the formation enthalpy at 0 K at -2.815 eV/atom.